LiYMg14 | Materials Project | PBE-GGA | optimized geometry; volume = 377.4 Å³/cell; electronic total energy = -1.93 eV per atom; crystal system = hexagonal; offset from the most stable computed form = 0 meV per atom; formation enthalpy at 0 K = -0.006 eV per atom; density = 1.92 g cm⁻³
1.0
-3.492 -4.529 -3.099
2.751 -1.372 5.732
-8.493 3.230 4.850
Li Y Mg
1 1 14
direct
0.167 0.333 0.625
0.167 0.333 0.125
0.175 0.838 0.125
0.169 0.834 0.625
0.662 0.325 0.125
0.666 0.331 0.625
0.662 0.838 0.125
0.666 0.834 0.625
0.333 0.167 0.380
0.333 0.167 0.870
0.333 0.666 0.380
0.333 0.666 0.870
0.834 0.167 0.380
0.834 0.167 0.870
0.833 0.667 0.372
0.833 0.667 0.878

LuFe6Sn6 | Materials Project | PBE-GGA | optimized geometry; volume = 226.8 Å³/cell; electronic total energy = -6.21 eV per atom; crystal system = hexagonal; formation enthalpy at 0 K = -0.099 eV per atom; density = 8.95 g cm⁻³
1.0
2.706 -4.687 0.000
2.706 4.687 0.000
0.000 0.000 8.938
Lu Fe Sn
1 6 6
direct
0.000 0.000 0.000
0.500 0.500 0.755
0.500 0.000 0.755
0.000 0.500 0.755
0.500 0.500 0.245
0.500 0.000 0.245
0.000 0.500 0.245
0.667 0.333 0.000
0.333 0.667 0.000
0.667 0.333 0.500
0.333 0.667 0.500
0.000 0.000 0.664
0.000 0.000 0.336

CrN2 | Materials Project | PBE-GGA | optimized geometry; volume = 1359.3 Å³/cell; electronic total energy = -8.62 eV per atom; crystal system = orthorhombic; formation enthalpy at 0 K = -0.085 eV per atom; density = 1.76 g cm⁻³
1.0
1.830 -10.922 -7.869
-7.496 -3.412 -8.980
5.438 0.363 -10.720
Cr N
18 36
direct
0.297 0.323 0.453
0.927 0.453 0.323
0.323 0.297 0.927
0.453 0.927 0.297
0.703 0.677 0.547
0.073 0.547 0.677
0.677 0.703 0.073
0.547 0.073 0.703
0.608 0.214 0.392
0.786 0.392 0.214
0.214 0.608 0.786
0.392 0.786 0.608
0.295 0.074 0.705
0.926 0.705 0.074
0.074 0.295 0.926
0.705 0.926 0.295
0.250 0.250 0.250
0.750 0.750 0.750
0.287 0.316 0.319
0.079 0.319 0.316
0.316 0.287 0.079
0.319 0.079 0.287
0.713 0.684 0.681
0.921 0.681 0.684
0.684 0.713 0.921
0.681 0.921 0.713
0.293 0.186 0.566
0.956 0.566 0.186
0.186 0.293 0.956
0.566 0.956 0.293
0.707 0.814 0.434
0.044 0.434 0.814
0.814 0.707 0.044
0.434 0.044 0.707
0.449 0.310 0.402
0.838 0.402 0.310
0.310 0.449 0.838
0.402 0.838 0.449
0.551 0.690 0.598
0.162 0.598 0.690
0.690 0.551 0.162
0.598 0.162 0.551
0.167 0.468 0.532
0.833 0.532 0.468
0.468 0.167 0.833
0.532 0.833 0.167
0.313 0.927 0.687
0.073 0.687 0.927
0.927 0.313 0.073
0.687 0.073 0.313
0.695 0.305 0.305
0.305 0.695 0.695
0.154 0.154 0.846
0.846 0.846 0.154

BaCaZr2O6 | Materials Project | PBE-GGA | optimized geometry; volume = 144.7 Å³/cell; electronic total energy = -8.27 eV per atom; crystal system = orthorhombic; offset from the most stable computed form = 0 meV per atom; formation enthalpy at 0 K = -3.615 eV per atom; density = 5.23 g cm⁻³
1.0
-0.192 -2.447 5.339
-2.986 -4.998 0.835
2.965 -4.967 1.064
Ba Ca Zr O
1 1 2 6
direct
0.502 0.000 0.000
0.971 0.500 0.500
0.748 0.251 0.251
0.250 0.749 0.749
0.391 0.500 0.500
0.057 0.000 0.000
0.974 0.528 0.063
0.566 0.937 0.472
0.566 0.472 0.937
0.974 0.063 0.528

Os3C10Br2O10 | Materials Project | PBE-GGA | optimized geometry; volume = 967.0 Å³/cell; electronic total energy = -7.50 eV per atom; crystal system = monoclinic; formation enthalpy at 0 K = -0.628 eV per atom; density = 3.47 g cm⁻³
1.0
4.140 8.377 0.000
-4.140 8.377 0.000
0.000 3.431 13.941
Os C Br O
6 20 4 20
direct
0.779 0.214 0.002
0.149 0.646 0.355
0.214 0.779 0.502
0.751 0.437 0.812
0.646 0.149 0.855
0.437 0.751 0.312
0.527 0.420 0.027
0.643 0.634 0.377
0.985 0.348 0.836
0.022 0.020 0.952
0.476 0.163 0.960
0.348 0.985 0.336
0.727 0.094 0.119
0.163 0.476 0.460
0.874 0.311 0.052
0.020 0.022 0.452
0.903 0.819 0.401
0.819 0.903 0.901
0.612 0.105 0.205
0.751 0.566 0.689
0.634 0.643 0.877
0.420 0.527 0.527
0.311 0.874 0.552
0.094 0.727 0.619
0.566 0.751 0.189
0.105 0.612 0.705
0.498 0.442 0.298
0.153 0.887 0.224
0.887 0.153 0.724
0.442 0.498 0.798
0.752 0.922 0.427
0.759 0.644 0.616
0.944 0.785 0.690
0.912 0.167 0.419
0.644 0.759 0.116
0.107 0.563 0.266
0.775 0.561 0.413
0.561 0.775 0.913
0.922 0.752 0.927
0.290 0.130 0.350
0.377 0.540 0.045
0.130 0.290 0.850
0.166 0.373 0.522
0.373 0.166 0.022
0.540 0.377 0.545
0.563 0.107 0.766
0.930 0.362 0.090
0.785 0.944 0.190
0.167 0.912 0.919
0.362 0.930 0.590

Y4MgBi4O12 | Materials Project | PBE-GGA | optimized geometry; volume = 334.6 Å³/cell; electronic total energy = -6.99 eV per atom; crystal system = monoclinic; offset from the most stable computed form = 108 meV per atom; formation enthalpy at 0 K = -2.507 eV per atom; density = 6.99 g cm⁻³
1.0
-6.431 0.829 0.722
-0.143 -4.779 3.804
1.391 5.129 6.497
Y Mg Bi O
4 1 4 12
direct
0.992 0.988 0.750
0.403 0.529 0.250
0.527 0.499 0.750
0.046 0.035 0.250
0.830 0.551 0.250
0.036 0.463 0.565
0.553 0.012 0.485
0.553 0.012 0.015
0.036 0.463 0.935
0.644 0.343 0.406
0.139 0.116 0.528
0.820 0.830 0.096
0.344 0.617 0.962
0.344 0.617 0.538
0.820 0.830 0.404
0.139 0.116 0.972
0.644 0.343 0.094
0.099 0.401 0.250
0.720 0.194 0.750
0.377 0.909 0.250
0.788 0.705 0.750

BaAu2S4O16 | Materials Project | PBE-GGA | optimized geometry; volume = 390.9 Å³/cell; electronic total energy = -5.80 eV per atom; crystal system = monoclinic; formation enthalpy at 0 K = -1.746 eV per atom; density = 3.89 g cm⁻³
1.0
4.619 4.888 0.000
-4.619 4.888 0.000
0.000 3.386 8.658
Ba Au S O
1 2 4 16
direct
0.000 0.000 0.000
0.000 0.000 0.500
0.500 0.500 0.500
0.087 0.588 0.723
0.588 0.087 0.723
0.913 0.412 0.277
0.412 0.913 0.277
0.322 0.627 0.666
0.627 0.322 0.666
0.678 0.373 0.334
0.373 0.678 0.334
0.021 0.691 0.846
0.691 0.021 0.846
0.979 0.309 0.154
0.309 0.979 0.154
0.991 0.687 0.587
0.687 0.991 0.587
0.009 0.313 0.413
0.313 0.009 0.413
0.037 0.370 0.761
0.370 0.037 0.761
0.963 0.630 0.239
0.630 0.963 0.239

LiYGe | Materials Project | PBE-GGA | optimized geometry; volume = 185.5 Å³/cell; electronic total energy = -5.07 eV per atom; crystal system = hexagonal; formation enthalpy at 0 K = -0.733 eV per atom; density = 4.52 g cm⁻³
1.0
3.546 -6.142 0.000
3.546 6.142 0.000
0.000 0.000 4.259
Li Y Ge
3 3 3
direct
0.233 0.000 0.500
0.767 0.767 0.500
0.000 0.233 0.500
0.000 0.577 0.000
0.577 0.000 0.000
0.423 0.423 0.000
0.333 0.667 0.500
0.667 0.333 0.500
0.000 0.000 0.000

ZrSn | Materials Project | PBE-GGA | optimized geometry; volume = 199.3 Å³/cell; electronic total energy = -6.40 eV per atom; crystal system = orthorhombic; formation enthalpy at 0 K = -0.123 eV per atom; density = 6.99 g cm⁻³
1.0
-0.686 -2.278 2.044
3.862 1.521 2.989
-7.682 7.702 6.006
Zr Sn
4 4
direct
0.000 0.000 0.537
0.500 0.000 0.294
0.000 0.500 0.706
0.500 0.500 0.463
0.000 0.000 0.067
0.500 0.000 0.759
0.000 0.500 0.241
0.500 0.500 0.933

Ce3Si8Ni2 | Materials Project | PBE-GGA | optimized geometry; volume = 223.3 Å³/cell; electronic total energy = -6.23 eV per atom; crystal system = orthorhombic; formation enthalpy at 0 K = -0.631 eV per atom; density = 5.67 g cm⁻³
1.0
-6.414 4.062 10.759
2.593 -4.957 -11.921
0.387 -3.825 1.675
Ce Si Ni
3 8 2
direct
0.000 0.000 0.000
0.688 0.312 0.500
0.312 0.688 0.500
0.595 0.405 0.000
0.405 0.595 0.000
0.776 0.224 0.000
0.224 0.776 0.000
0.903 0.097 0.500
0.097 0.903 0.500
0.545 0.455 0.500
0.455 0.545 0.500
0.866 0.134 0.000
0.134 0.866 0.000

Zr6Al7Cu16 | Materials Project | PBE-GGA | optimized geometry; volume = 431.0 Å³/cell; electronic total energy = -5.29 eV per atom; crystal system = cubic; formation enthalpy at 0 K = -0.353 eV per atom; density = 6.75 g cm⁻³
1.0
0.000 5.995 5.995
5.995 0.000 5.995
5.995 5.995 0.000
Zr Al Cu
6 7 16
direct
0.705 0.705 0.295
0.295 0.705 0.295
0.705 0.295 0.295
0.295 0.295 0.705
0.705 0.295 0.705
0.295 0.705 0.705
0.000 0.000 0.000
0.000 0.000 0.500
0.500 0.000 0.500
0.000 0.500 0.500
0.500 0.500 0.000
0.000 0.500 0.000
0.500 0.000 0.000
0.881 0.881 0.358
0.881 0.358 0.881
0.358 0.881 0.881
0.881 0.881 0.881
0.119 0.119 0.642
0.119 0.642 0.119
0.642 0.119 0.119
0.119 0.119 0.119
0.671 0.671 0.987
0.671 0.987 0.671
0.987 0.671 0.671
0.671 0.671 0.671
0.329 0.329 0.013
0.329 0.013 0.329
0.013 0.329 0.329
0.329 0.329 0.329

K4H4PtC6S2N2O12 | Materials Project | PBE-GGA | optimized geometry; volume = 500.6 Å³/cell; electronic total energy = -6.06 eV per atom; crystal system = triclinic; formation enthalpy at 0 K = -1.076 eV per atom; density = 2.36 g cm⁻³
1.0
6.724 0.000 0.000
-2.289 6.778 0.000
-0.035 -2.289 10.985
K H Pt C S N O
4 4 1 6 2 2 12
direct
0.594 0.756 0.449
0.406 0.244 0.551
0.550 0.098 0.192
0.450 0.902 0.808
0.854 0.457 0.401
0.146 0.543 0.599
0.847 0.283 0.466
0.153 0.717 0.534
0.000 0.000 0.000
0.198 0.356 0.228
0.802 0.644 0.772
0.988 0.867 0.233
0.012 0.133 0.767
0.109 0.835 0.344
0.891 0.165 0.656
0.057 0.329 0.100
0.943 0.671 0.900
0.302 0.379 0.318
0.698 0.621 0.682
0.113 0.924 0.147
0.887 0.076 0.853
0.799 0.846 0.234
0.201 0.154 0.766
0.307 0.908 0.354
0.693 0.092 0.646
0.993 0.743 0.418
0.007 0.257 0.582
0.763 0.321 0.408
0.237 0.679 0.592
0.533 0.269 0.984
0.467 0.731 0.016

Ti8Al15Rh7 | Materials Project | PBE-GGA | optimized geometry; volume = 458.9 Å³/cell; electronic total energy = -6.47 eV per atom; crystal system = orthorhombic; formation enthalpy at 0 K = -0.772 eV per atom; density = 5.46 g cm⁻³
1.0
-4.324 4.335 6.121
4.324 -4.335 6.121
4.324 4.335 -6.121
Ti Al Rh
8 15 7
direct
0.790 0.289 0.073
0.216 0.289 0.499
0.210 0.710 0.500
0.216 0.717 0.927
0.790 0.717 0.501
0.784 0.284 0.500
0.379 0.123 0.744
0.379 0.635 0.256
0.998 0.498 0.500
0.153 0.345 0.191
0.153 0.962 0.809
0.151 0.346 0.804
0.542 0.346 0.196
0.846 0.653 0.807
0.846 0.039 0.193
0.844 0.654 0.190
0.464 0.654 0.810
0.380 0.122 0.258
0.864 0.122 0.742
0.622 0.878 0.256
0.622 0.366 0.744
0.621 0.878 0.743
0.135 0.878 0.257
0.001 0.000 0.502
0.498 0.000 0.999
0.498 0.498 0.000
0.498 0.500 0.498
0.001 0.500 0.001
0.999 0.999 0.000
0.499 0.999 0.500